[1]
First-principles (r2SCAN) data for LaSiNi after structural relaxation, as listed in the Materials Project.

Calculated values
SG = I4_1md
uncorrected energy = -52.73 eV per formula unit

abc: 7.587 7.587 7.587
angles: 147.98 147.98 45.92
Element x y z (fractional)
La 0.000 0.000 0.000
La 0.750 0.250 0.500
Si 0.330 0.830 0.500
Si 0.580 0.580 0.000
Ni 0.161 0.661 0.500
Ni 0.411 0.411 0.000

***

[2]
First-principles (r2SCAN) data for LaSi2Ni after structural relaxation, as listed in the Materials Project.

Calculated values
SG = Cmcm
uncorrected energy = -62.61 eV per formula unit

abc: 8.574 8.574 4.090
angles: 90.00 90.00 151.44
Element x y z (fractional)
La 0.108 0.892 0.750
La 0.892 0.108 0.250
Si 0.250 0.750 0.250
Si 0.459 0.541 0.750
Si 0.541 0.459 0.250
Si 0.750 0.250 0.750
Ni 0.318 0.682 0.750
Ni 0.682 0.318 0.250

***

[3]
First-principles (r2SCAN) data for LaSiNi4 after structural relaxation, as listed in the Materials Project.

Calculated values
SG = Cmmm
uncorrected energy = -89.49 eV per formula unit

abc: 4.873 4.873 3.950
angles: 90.00 90.00 115.32
Element x y z (fractional)
La 0.000 0.000 0.000
Si 0.500 0.500 0.500
Ni 0.000 0.500 0.500
Ni 0.342 0.658 0.000
Ni 0.500 0.000 0.500
Ni 0.658 0.342 0.000

***

[4]
First-principles (r2SCAN) data for LaNiSn after structural relaxation, as listed in the Materials Project.

Calculated values
SG = Pnma
uncorrected energy = -68.43 eV per formula unit

abc: 7.853 4.742 7.219
angles: 90.00 90.00 90.00
Element x y z (fractional)
La 0.035 0.250 0.185
La 0.465 0.750 0.685
La 0.535 0.250 0.315
La 0.965 0.750 0.815
Ni 0.172 0.750 0.426
Ni 0.328 0.250 0.926
Ni 0.672 0.750 0.074
Ni 0.828 0.250 0.574
Sn 0.178 0.250 0.604
Sn 0.322 0.750 0.104
Sn 0.678 0.250 0.896
Sn 0.822 0.750 0.396

***

[5]
First-principles (r2SCAN) data for LaNiSn2 after structural relaxation, as listed in the Materials Project.

Calculated values
SG = Cmcm
uncorrected energy = -94.02 eV per formula unit

abc: 9.417 9.417 4.551
angles: 90.00 90.00 152.15
Element x y z (fractional)
La 0.110 0.890 0.750
La 0.890 0.110 0.250
Ni 0.317 0.683 0.750
Ni 0.683 0.317 0.250
Sn 0.251 0.749 0.250
Sn 0.453 0.547 0.750
Sn 0.547 0.453 0.250
Sn 0.749 0.251 0.750

***

[6]
First-principles (r2SCAN) data for LaZn4Ni after structural relaxation, as listed in the Materials Project.

Calculated values
SG = P-6m2
uncorrected energy = -79.42 eV per formula unit

abc: 5.288 5.288 4.199
angles: 90.00 90.00 120.00
Element x y z (fractional)
La 0.000 0.000 0.000
Zn 0.009 0.504 0.500
Zn 0.496 0.504 0.500
Zn 0.496 0.991 0.500
Zn 0.667 0.333 0.000
Ni 0.333 0.667 0.000

***

[7]
First-principles (r2SCAN) data for La2O3 after structural relaxation, as listed in the Materials Project.

Calculated values
SG = Ia-3
uncorrected energy = -96.06 eV per formula unit

abc: 9.838 9.838 9.838
angles: 109.47 109.47 109.47
Element x y z (fractional)
La 0.000 0.000 0.500
La 0.000 0.500 0.000
La 0.028 0.750 0.778
La 0.222 0.972 0.250
La 0.250 0.222 0.972
La 0.250 0.722 0.472
La 0.278 0.528 0.750
La 0.472 0.250 0.722
La 0.500 0.000 0.000
La 0.500 0.500 0.500
La 0.528 0.750 0.278
La 0.722 0.472 0.250
La 0.750 0.278 0.528
La 0.750 0.778 0.028
La 0.778 0.028 0.750
La 0.972 0.250 0.222
O 0.011 0.037 0.270
O 0.026 0.489 0.758
O 0.037 0.270 0.011
O 0.230 0.268 0.742
O 0.232 0.463 0.474
O 0.242 0.974 0.511
O 0.258 0.770 0.732
O 0.268 0.742 0.230
O 0.270 0.011 0.037
O 0.463 0.474 0.232
O 0.474 0.232 0.463
O 0.489 0.758 0.026
O 0.511 0.242 0.974
O 0.526 0.768 0.537
O 0.537 0.526 0.768
O 0.730 0.989 0.963
O 0.732 0.258 0.770
O 0.742 0.230 0.268
O 0.758 0.026 0.489
O 0.768 0.537 0.526
O 0.770 0.732 0.258
O 0.963 0.730 0.989
O 0.974 0.511 0.242
O 0.989 0.963 0.730

***

[8]
First-principles (r2SCAN) data for LaO3 after structural relaxation, as listed in the Materials Project.

Calculated values
SG = P6_3/m
uncorrected energy = -54.62 eV per formula unit

abc: 5.429 5.429 4.529
angles: 90.00 90.00 120.00
Element x y z (fractional)
La 0.333 0.667 0.250
La 0.667 0.333 0.750
O 0.162 0.409 0.750
O 0.247 0.838 0.750
O 0.409 0.247 0.250
O 0.591 0.753 0.750
O 0.753 0.162 0.250
O 0.838 0.591 0.250

***

[9]
First-principles (r2SCAN) data for La2O3 after structural relaxation, as listed in the Materials Project.

Calculated values
SG = P-3m1
uncorrected energy = -96.07 eV per formula unit

abc: 3.931 3.931 6.112
angles: 90.00 90.00 120.00
Element x y z (fractional)
La 0.333 0.667 0.246
La 0.667 0.333 0.754
O 0.000 0.000 0.000
O 0.333 0.667 0.646
O 0.667 0.333 0.354

***

[10]
First-principles (r2SCAN) data for La2P4O13 after structural relaxation, as listed in the Materials Project.

Calculated values
SG = C2/c
energy above the lowest structure with this stoichiometry = 0.00 eV per formula unit
uncorrected energy = -228.92 eV per formula unit

abc: 7.000 7.000 13.351
angles: 103.55 103.55 60.04
Element x y z (fractional)
La 0.183 0.190 0.051
La 0.190 0.183 0.551
La 0.810 0.817 0.449
La 0.817 0.810 0.949
P 0.256 0.278 0.341
P 0.278 0.256 0.841
P 0.340 0.645 0.138
P 0.355 0.660 0.362
P 0.645 0.340 0.638
P 0.660 0.355 0.862
P 0.722 0.744 0.159
P 0.744 0.722 0.659
O 0.063 0.422 0.403
O 0.087 0.421 0.902
O 0.180 0.819 0.431
O 0.181 0.820 0.069
O 0.192 0.207 0.229
O 0.207 0.192 0.729
O 0.260 0.740 0.250
O 0.369 0.416 0.104
O 0.380 0.419 0.343
O 0.416 0.369 0.604
O 0.419 0.380 0.843
O 0.421 0.087 0.402
O 0.422 0.063 0.903
O 0.578 0.937 0.097
O 0.579 0.913 0.598
O 0.581 0.620 0.157
O 0.584 0.631 0.396
O 0.620 0.581 0.657
O 0.631 0.584 0.896
O 0.740 0.260 0.750
O 0.793 0.808 0.271
O 0.808 0.793 0.771
O 0.819 0.180 0.931
O 0.820 0.181 0.569
O 0.913 0.579 0.098
O 0.937 0.578 0.597

***

[11]
First-principles (r2SCAN) data for La2P4O13 after structural relaxation, as listed in the Materials Project.

Calculated values
SG = C222_1
energy above the lowest structure with this stoichiometry = 0.19 eV per formula unit
uncorrected energy = -228.73 eV per formula unit

abc: 9.705 9.705 8.858
angles: 90.00 90.00 135.65
Element x y z (fractional)
La 0.103 0.395 0.360
La 0.395 0.103 0.640
La 0.605 0.897 0.140
La 0.897 0.605 0.860
P 0.099 0.415 0.999
P 0.143 0.270 0.736
P 0.270 0.143 0.264
P 0.415 0.099 0.001
P 0.585 0.901 0.501
P 0.730 0.857 0.764
P 0.857 0.730 0.236
P 0.901 0.585 0.499
O 0.032 0.479 0.895
O 0.066 0.767 0.593
O 0.089 0.911 0.250
O 0.177 0.401 0.617
O 0.198 0.365 0.898
O 0.204 0.240 0.285
O 0.233 0.934 0.907
O 0.240 0.204 0.715
O 0.261 0.572 0.110
O 0.365 0.198 0.102
O 0.401 0.177 0.383
O 0.428 0.739 0.390
O 0.479 0.032 0.105
O 0.521 0.968 0.605
O 0.572 0.261 0.890
O 0.599 0.823 0.883
O 0.635 0.802 0.602
O 0.739 0.428 0.610
O 0.760 0.796 0.215
O 0.767 0.066 0.407
O 0.796 0.760 0.785
O 0.802 0.635 0.398
O 0.823 0.599 0.117
O 0.911 0.089 0.750
O 0.934 0.233 0.093
O 0.968 0.521 0.395

***

[12]
First-principles (r2SCAN) data for LaPaO4 after structural relaxation, as listed in the Materials Project.

Calculated values
SG = P4/mmm
uncorrected energy = -154.47 eV per formula unit

abc: 3.859 3.859 5.633
angles: 90.00 90.00 90.00
Element x y z (fractional)
La 0.000 0.000 0.000
Pa 0.500 0.500 0.500
O 0.000 0.500 0.273
O 0.000 0.500 0.727
O 0.500 0.000 0.273
O 0.500 0.000 0.727